1.
Entry from Materials Project: a relaxed K3Tb crystal (PBE-GGA).

The structure in POSCAR format:
```
K3Tb
1.0
0.000 4.863 4.863
4.863 0.000 4.863
4.863 4.863 0.000
K Tb
3 1
Cartesian
4.863 4.863 4.863
2.431 2.431 2.431
7.294 7.294 7.294
0.000 0.000 0.000
```

Computed properties:
**SG**: Fm-3m
**Energy above the most stable polymorph in this dataset**: 0.016 eV/atom

2.
Entry from Materials Project: a relaxed Na3Ca2Sc2PS5O24 crystal (PBE-GGA).

The structure in POSCAR format:
```
Na3Ca2Sc2PS5O24
1.0
-3.281 -8.382 -1.188
8.247 1.150 3.523
-9.280 0.558 21.526
O S Na Sc Ca P
72 15 9 6 6 3
Cartesian
1.468 -3.561 7.261
0.072 1.123 17.872
-0.763 -2.285 9.064
-2.766 -4.759 12.502
0.549 -1.834 15.177
2.181 -5.509 6.069
-8.616 -6.217 20.050
0.968 -3.561 12.536
-1.807 -0.157 14.076
0.059 -1.526 2.213
-2.313 -5.244 2.612
-1.777 -1.769 11.219
-5.164 -3.455 22.691
1.741 -5.488 11.314
-6.949 0.689 20.188
2.209 -3.247 10.454
-7.757 -5.147 15.843
-0.003 -3.587 3.547
-5.853 -0.039 22.187
-5.358 -1.061 15.546
-1.662 -2.946 18.625
-4.473 -7.809 5.979
-9.931 -6.387 16.291
-5.250 -3.590 11.418
-1.883 -0.026 18.548
1.527 0.119 9.991
0.811 -3.572 1.240
-3.280 -1.571 6.326
-1.548 -5.605 14.382
4.053 -0.298 3.903
1.016 0.008 12.374
-4.876 -5.192 8.869
2.102 -2.579 3.045
-4.131 -6.817 18.895
-1.330 -5.458 0.382
-8.900 -3.375 19.837
-2.758 -3.435 9.711
0.149 -6.486 3.768
-2.465 -3.629 5.356
3.631 -1.594 8.156
-6.629 -1.109 17.622
-3.242 -6.795 0.946
4.728 -3.266 4.219
-1.828 -3.220 14.163
-0.210 -5.072 6.352
5.630 -0.472 7.503
-4.352 -5.398 21.514
-2.532 -6.496 5.411
-9.005 -0.987 19.333
-7.119 -7.487 12.030
-6.525 -4.477 20.920
-2.876 -1.057 9.203
-2.770 -1.007 23.461
-4.552 0.193 20.137
-3.744 -4.568 14.736
1.001 -0.510 6.980
-2.463 -6.274 9.938
2.993 1.158 11.656
-4.552 -3.271 20.332
-5.852 -1.364 12.398
-0.112 0.254 5.006
-5.863 -6.495 13.872
1.230 -6.468 1.487
-0.838 -4.985 17.408
-6.384 -3.538 13.691
-5.990 -3.167 16.592
-5.020 -6.475 11.579
-5.294 -5.997 16.949
-4.244 -1.752 17.543
2.612 -7.057 3.445
1.103 -5.776 8.249
-1.691 -1.498 21.322
1.569 0.822 11.277
1.157 -4.972 6.982
2.056 -4.060 11.663
-2.586 -5.479 1.169
-2.488 -4.537 13.942
-5.137 -4.123 21.369
0.726 -2.801 2.509
-3.169 -7.855 5.236
-3.249 -2.383 5.060
-1.488 -1.140 22.747
-2.011 -2.131 9.814
-5.759 -7.266 12.596
-5.523 -1.743 16.827
-4.445 -7.109 17.461
-5.651 0.723 20.947
-1.853 -1.649 16.281
-9.293 0.431 21.501
-4.719 0.066 10.743
-7.174 -4.846 18.342
0.047 -1.495 19.234
0.303 -4.135 15.258
2.837 -4.758 3.452
2.924 -1.712 5.578
-2.532 -5.018 7.559
-3.924 -4.866 10.758
-8.552 -4.713 21.541
-1.159 -5.171 4.397
-5.837 -4.825 15.123
5.010 1.340 11.018
-11.094 -7.784 17.068
-6.011 0.318 13.915
-0.360 -1.677 13.054
-3.238 -1.614 19.600
4.298 -1.881 2.327
-1.371 0.010 3.167
1.449 -1.847 8.821
-9.196 -5.463 15.250
1.191 -7.220 2.856
-6.291 -2.817 12.286
```

Computed properties:
**SG**: P1

3.
Entry from Materials Project: a relaxed SmGaSi crystal (PBE-GGA).

The structure in POSCAR format:
```
SmGaSi
1.0
-2.085 2.085 7.139
2.085 -2.085 7.139
2.085 2.085 -7.139
Ga Sm Si
2 2 2
Cartesian
0.000 0.000 6.543
2.085 0.000 2.974
0.000 0.000 12.492
0.000 2.085 1.784
0.000 0.000 4.166
2.085 0.000 0.596
```

Computed properties:
**SG**: I4_1md

4.
Entry from Materials Project: a relaxed EuDyTi4O12 crystal (PBE-GGA).

The structure in POSCAR format:
```
EuDyTi4O12
1.0
-3.691 -0.909 3.884
-3.983 1.459 -3.398
-0.673 -7.311 -2.350
O Ti Dy Eu
12 4 1 1
Cartesian
-2.839 -5.706 -1.741
-2.270 -3.012 -2.623
-4.088 -0.939 -2.439
-4.247 -5.823 0.575
-4.413 -4.474 -3.575
-2.145 -4.031 0.510
-5.755 -1.586 -0.285
-2.431 -1.275 -0.317
-5.510 -0.105 1.904
-3.921 -2.289 1.711
-6.062 -4.926 -1.359
-5.634 0.903 -1.198
-2.162 -1.118 -2.217
-2.022 -2.257 1.287
-2.499 -4.779 -3.393
-2.358 -5.918 0.111
-4.042 0.290 0.256
-7.868 -3.116 -0.698
```

Computed properties:
**SG**: Amm2

5.
Entry from Materials Project: a relaxed LiAlSiO4 crystal (PBE-GGA).

The structure in POSCAR format:
```
LiAlSiO4
1.0
-4.961 0.107 -2.003
1.987 -4.555 1.983
-3.988 2.620 10.016
O Al Li Si
12 3 3 3
Cartesian
-1.681 -2.034 7.018
-3.697 -1.998 2.109
-1.261 -1.146 2.856
-5.936 0.637 4.625
-3.082 -2.420 4.540
-5.266 1.597 8.737
-5.010 -1.247 9.583
-3.121 0.167 7.945
-3.223 0.161 3.809
-5.843 -0.679 7.082
-3.866 -0.540 -0.360
0.218 -3.466 2.032
-4.474 1.364 4.007
0.329 -1.841 2.661
-4.810 -0.040 8.337
-0.665 0.437 1.669
-3.323 2.184 8.347
-1.994 1.310 5.008
-2.816 -1.351 3.329
-2.480 0.054 -1.001
-1.665 -0.531 7.669
```

Computed properties:
**SG**: P6_222
**Energy above the most stable polymorph in this dataset**: 0.020 eV/atom

6.
Entry from Materials Project: a relaxed Gd crystal (PBE-GGA).

The structure in POSCAR format:
```
Gd
1.0
1.807 -3.130 0.000
1.807 3.130 0.000
0.000 0.000 5.770
Gd
2
Cartesian
1.807 -1.043 4.328
1.807 1.043 1.443
```

Computed properties:
**SG**: P6_3/mmc
**Energy above the most stable polymorph in this dataset**: 0.000 eV/atom

7.
Entry from Materials Project: a relaxed NdInRh crystal (PBE-GGA).

The structure in POSCAR format:
```
NdInRh
1.0
-5.296 3.824 -3.952
-1.433 -7.095 2.430
-1.517 1.499 3.483
Rh In Nd
3 3 3
Cartesian
-0.758 0.750 1.742
-2.721 -3.455 0.303
-4.009 0.185 -1.825
-1.313 0.948 -0.980
-5.062 -2.460 -1.145
-0.355 -1.758 0.602
-3.547 -0.606 1.111
-1.598 -3.405 3.165
-3.860 2.989 -0.573
```

Computed properties:
**SG**: P-62m

8.
Entry from Materials Project: a relaxed CeSe2 crystal (PBE-GGA).

The structure in POSCAR format:
```
CeSe2
1.0
5.730 -0.743 -6.523
-8.199 14.572 -8.863
13.249 8.257 10.697
Se Ce
24 12
Cartesian
14.550 15.038 -0.157
4.387 11.703 -7.798
1.282 18.473 -6.383
-1.316 6.729 -7.327
4.078 5.724 -3.019
1.842 9.443 -2.018
11.504 9.592 -1.123
3.963 16.717 1.448
9.020 7.485 4.679
7.604 8.218 -2.637
1.248 14.667 -8.787
-0.417 5.597 -3.250
2.830 13.913 -1.659
8.593 12.688 -2.278
7.691 3.682 -1.730
2.434 18.489 -2.214
0.330 10.515 -9.120
0.658 12.314 -5.140
6.452 16.456 -2.157
1.589 5.985 0.585
10.542 16.573 -0.694
9.939 11.636 5.013
11.952 3.294 -1.100
7.955 10.180 1.331
1.359 17.362 -8.842
8.863 10.185 -1.231
8.920 15.385 -2.530
6.779 5.705 -3.308
10.814 14.106 5.655
1.743 6.716 -2.027
1.734 12.277 -7.640
1.055 12.012 -2.477
8.758 4.810 4.908
-0.697 8.066 -9.589
8.094 9.932 4.034
3.884 16.395 -1.249
```

Computed properties:
**SG**: Cmc2_1

9.
Entry from Materials Project: a relaxed NaNb3O8 crystal (PBE-GGA).

The structure in POSCAR format:
```
NaNb3O8
1.0
4.328 -0.203 5.939
-4.874 4.041 3.735
-1.912 -6.331 -3.209
Nb O Na
6 16 2
Cartesian
-1.970 1.346 4.968
0.472 -0.654 3.244
-2.930 -1.839 3.220
-0.488 -3.840 1.496
1.695 -4.025 4.348
-4.153 1.532 2.116
-0.413 3.088 8.130
-1.230 -3.191 -0.360
-2.863 3.060 5.795
0.022 0.937 4.365
-1.753 -0.596 4.194
-0.424 -4.717 3.405
-1.228 0.697 6.824
-2.045 -5.581 -1.666
-2.480 -3.430 2.099
0.981 -1.862 4.559
1.418 -3.649 2.406
-3.439 -0.631 1.904
-3.876 1.156 4.058
-2.034 2.224 3.059
0.405 -5.553 0.669
-0.705 -1.898 2.270
-5.090 -1.717 0.394
-1.697 -0.572 0.131
```

Computed properties:
**SG**: Ibam
**Energy above the most stable polymorph in this dataset**: 0.023 eV/atom

10.
Entry from Materials Project: a relaxed LaWN3 crystal (PBE-GGA).

The structure in POSCAR format:
```
LaWN3
1.0
-6.427 0.786 -3.750
-4.253 -2.351 5.690
-2.507 5.408 2.375
N La W
12 4 4
Cartesian
-9.409 4.394 0.962
-6.087 3.677 -0.042
-9.610 -0.899 3.133
-1.841 1.342 2.088
-6.223 4.831 2.862
-7.100 0.166 4.356
-11.346 2.501 2.226
-8.288 1.817 2.335
-4.899 2.026 1.979
-3.778 -0.551 3.353
-3.577 4.742 1.182
-6.964 -0.988 1.453
-6.800 2.667 4.577
-6.387 1.176 -0.262
-5.084 -0.705 5.398
-8.103 4.548 -1.083
-3.541 0.607 1.985
-8.010 -0.021 2.805
-5.177 3.864 1.509
-9.646 3.236 2.330
```

Computed properties:
**SG**: C2/c

11.
Entry from Materials Project: a relaxed CaH16O10 crystal (PBE-GGA).

The structure in POSCAR format:
```
CaH16O10
1.0
-1.912 5.590 2.030
-3.276 -2.479 5.039
8.694 0.787 6.478
H O Ca
32 20 2
Cartesian
0.507 2.079 9.229
2.234 -0.460 7.339
1.074 -1.111 5.721
3.668 1.223 8.137
0.498 3.336 5.674
4.569 2.810 5.044
-0.435 1.961 7.199
6.926 0.857 7.969
-0.782 3.030 3.743
-3.261 -0.414 5.187
5.522 3.564 8.330
2.955 1.607 4.219
1.377 1.664 4.476
-3.610 3.307 5.603
0.494 0.362 6.110
-2.133 2.673 5.618
4.205 1.036 10.332
2.070 4.522 6.703
-0.476 -0.748 3.199
-1.320 3.678 2.379
-0.031 4.857 5.989
6.449 1.792 6.848
5.581 -0.598 8.544
6.513 3.666 7.034
3.114 3.687 7.577
-0.570 0.807 3.461
4.094 3.444 10.213
4.378 1.543 5.975
-1.887 0.468 5.305
2.111 2.094 9.319
3.734 -0.685 6.875
-1.192 1.128 8.298
1.281 2.000 9.873
4.478 1.804 5.037
-0.319 0.130 2.750
6.236 0.895 7.257
6.022 4.222 7.733
-2.735 3.345 6.085
3.710 4.100 10.974
0.715 -0.593 6.469
3.177 -0.434 7.668
0.215 1.820 5.678
-2.365 -0.335 5.669
0.741 4.347 5.673
3.536 2.190 8.359
-0.654 3.803 3.103
2.787 4.606 7.400
-0.987 1.782 4.787
4.015 0.255 10.901
2.079 1.595 3.751
4.651 2.530 9.276
-0.802 2.019 8.147
1.530 3.660 11.859
-1.309 -2.128 6.606
```

Computed properties:
**SG**: P1
**Energy above the most stable polymorph in this dataset**: 0.040 eV/atom

12.
Entry from Materials Project: a relaxed Al2Sb2O7 crystal (PBE-GGA).

The structure in POSCAR format:
```
Al2Sb2O7
1.0
0.000 4.966 4.966
4.966 0.000 4.966
4.966 4.966 0.000
O Sb Al
14 4 4
Cartesian
4.966 2.570 4.966
9.845 7.449 7.449
4.966 4.966 7.362
7.449 7.449 5.053
0.000 0.000 0.000
4.966 7.362 4.966
7.449 7.449 9.845
5.053 7.449 7.449
7.449 9.845 7.449
4.966 4.966 2.570
2.570 4.966 4.966
2.483 2.483 2.483
7.362 4.966 4.966
7.449 5.053 7.449
3.725 6.208 3.725
6.208 6.208 6.208
3.725 3.725 6.208
6.208 3.725 3.725
3.725 1.242 3.725
3.725 3.725 1.242
1.242 3.725 3.725
1.242 1.242 1.242
```

Computed properties:
**SG**: Fd-3m

DFT formation energy for the records above, in order: 0.60 -2.61 -0.66 -3.22 -3.19 0.00 -0.70 -1.39 -2.94 -1.21 -1.36 -1.89 eV per atom
Total DFT energy (no corrections) for the records above, in order: -5.58 -736.45 -30.46 -155.56 -151.38 -28.15 -50.95 -193.88 -201.92 -191.51 -270.99 -132.83 eV per cell